[1]
A plane-wave DFT calculation with r²SCAN was carried out for a relaxed structure of MgFeSiO4.

Cell lengths 4.810, 5.970, 10.323 Å; angles 90.00, 90.00, 90.00 degrees
Positions (direct):
O 0.730 0.250 0.597
O 0.785 0.966 0.333
Si 0.069 0.250 0.598
O 0.702 0.750 0.050
O 0.715 0.534 0.833
O 0.298 0.250 0.950
Si 0.569 0.750 0.902
Si 0.931 0.750 0.402
Mg 0.994 0.250 0.278
O 0.215 0.034 0.667
O 0.285 0.466 0.167
Mg 0.494 0.750 0.222
Fe 0.500 0.000 0.500
O 0.285 0.034 0.167
O 0.215 0.466 0.667
Si 0.431 0.250 0.098
O 0.770 0.250 0.097
O 0.202 0.250 0.450
Fe 0.000 0.000 0.000
Mg 0.506 0.250 0.778
O 0.798 0.750 0.550
O 0.785 0.534 0.333
Fe 0.000 0.500 0.000
Mg 0.006 0.750 0.722
O 0.230 0.750 0.903
O 0.715 0.966 0.833
O 0.270 0.750 0.403
Fe 0.500 0.500 0.500

Computed properties:
Formation energy (eV/atom): -2.5587
Space-group type: Pnma (62)

[2]
A plane-wave DFT calculation with r²SCAN was carried out for a relaxed structure of NaAl11O17.

Cell lengths 5.591, 5.591, 22.546 Å; angles 90.00, 90.00, 120.00 degrees
Positions (direct):
Al 0.667 0.333 0.525
Na 0.667 0.333 0.250
Al 0.667 0.333 0.975
Al 0.167 0.833 0.607
O 0.503 0.497 0.354
O 0.000 0.000 0.142
O 0.314 0.157 0.950
O 0.000 0.000 0.641
Al 0.167 0.335 0.893
O 0.497 0.503 0.854
O 0.686 0.843 0.450
Al 0.000 0.000 0.500
Al 0.665 0.833 0.893
Na 0.333 0.667 0.750
Al 0.335 0.167 0.107
Al 0.833 0.665 0.107
O 0.843 0.157 0.950
Al 0.333 0.667 0.475
O 0.006 0.503 0.854
O 0.667 0.333 0.055
Al 0.333 0.667 0.325
Al 0.667 0.333 0.825
Al 0.335 0.168 0.393
O 0.157 0.843 0.450
O 0.843 0.157 0.550
O 0.006 0.503 0.646
Al 0.167 0.335 0.607
Al 0.333 0.667 0.175
O 0.157 0.843 0.050
Al 0.833 0.167 0.107
Al 0.665 0.833 0.607
O 0.503 0.006 0.354
O 0.686 0.843 0.050
O 0.994 0.497 0.354
O 0.843 0.686 0.950
Al 0.667 0.333 0.675
O 0.333 0.667 0.555
O 0.497 0.994 0.646
O 0.667 0.333 0.750
O 0.503 0.497 0.146
O 0.503 0.006 0.146
O 0.497 0.503 0.646
O 0.994 0.497 0.146
O 0.333 0.667 0.945
O 0.843 0.686 0.550
O 0.157 0.314 0.450
O 0.314 0.157 0.550
Al 0.832 0.168 0.393
O 0.333 0.667 0.250
Al 0.167 0.833 0.893
O 0.000 0.000 0.358
O 0.157 0.314 0.050
Al 0.333 0.667 0.025
O 0.497 0.994 0.854
Al 0.000 0.000 0.000
O 0.667 0.333 0.445
Al 0.832 0.665 0.393
O 0.000 0.000 0.859

Computed properties:
Formation energy (eV/atom): -3.2692
Distance to the lowest polymorph of the same formula (meV/atom): 0.0
Space-group type: P6_3/mmc (194)

[3]
A plane-wave DFT calculation with r²SCAN was carried out for a relaxed structure of Tb2ReB6.

Cell lengths 3.699, 9.194, 11.578 Å; angles 90.00, 90.00, 90.00 degrees
Positions (direct):
B 0.500 0.447 0.567
Tb 0.000 0.176 0.914
Re 0.000 0.638 0.321
B 0.500 0.517 0.712
Tb 0.000 0.676 0.586
B 0.500 0.553 0.433
B 0.500 0.983 0.212
B 0.500 0.100 0.472
B 0.500 0.748 0.418
B 0.500 0.900 0.528
B 0.500 0.248 0.082
B 0.500 0.400 0.972
B 0.500 0.869 0.686
B 0.500 0.947 0.933
Re 0.000 0.362 0.679
Tb 0.000 0.057 0.631
Tb 0.000 0.557 0.869
B 0.500 0.631 0.186
B 0.500 0.131 0.314
Tb 0.000 0.943 0.369
B 0.500 0.209 0.735
B 0.500 0.291 0.235
B 0.500 0.369 0.814
B 0.500 0.053 0.067
B 0.500 0.709 0.765
B 0.500 0.791 0.265
Tb 0.000 0.824 0.086
B 0.500 0.017 0.788
B 0.500 0.752 0.918
Re 0.000 0.862 0.821
B 0.500 0.252 0.582
Re 0.000 0.138 0.179
Tb 0.000 0.443 0.131
B 0.500 0.483 0.288
B 0.500 0.600 0.028
Tb 0.000 0.324 0.414

Computed properties:
Formation energy (eV/atom): -0.6734
Space-group type: Pbam (55)

> formation energy of number 1 (MgFeSiO4)?

-2.5587 eV/atom

> Among the records above, which one has the lowest formation energy?

NaAl11O17

> The lowest formation energy belongs to which entry?

NaAl11O17